# 1
# Mg2B2O5

Mg2B2O5 after structural relaxation (PBE, the Materials Project database).

Calculated values
The energy of formation from the pure elements is -3.020 eV/atom. As for the MP2020-corrected energy: -68.481 eV per formula unit. The calculation puts the electronic total energy at -260.183 eV for the cell shown.

Lattice parameters (Å, degrees): 9.3189 3.1568 12.4823 90.00 105.08 90.00
Atoms (fractional coordinates):
Mg: 0.1024 0.2483 0.4369
Mg: 0.1024 0.2517 0.9369
Mg: 0.3540 0.7162 0.8558
Mg: 0.3540 0.7838 0.3558
Mg: 0.6460 0.2162 0.6442
Mg: 0.6460 0.2838 0.1442
Mg: 0.8976 0.7483 0.0631
Mg: 0.8976 0.7517 0.5631
B: 0.1686 0.1701 0.1902
B: 0.1686 0.3299 0.6902
B: 0.3567 0.6805 0.5910
B: 0.3567 0.8195 0.0911
B: 0.6433 0.1805 0.9090
B: 0.6433 0.3195 0.4090
B: 0.8314 0.6701 0.3098
B: 0.8314 0.8299 0.8098
O: 0.0545 0.2496 0.0981
O: 0.0545 0.2504 0.5981
O: 0.1793 0.2263 0.7980
O: 0.1793 0.2737 0.2980
O: 0.2589 0.7499 0.4890
O: 0.2589 0.7501 0.9890
O: 0.2977 0.5585 0.6811
O: 0.2977 0.9415 0.1811
O: 0.4942 0.2164 0.8874
O: 0.4942 0.2836 0.3874
O: 0.5058 0.7164 0.6126
O: 0.5058 0.7836 0.1126
O: 0.7023 0.0585 0.8189
O: 0.7023 0.4415 0.3189
O: 0.7411 0.2499 0.0110
O: 0.7411 0.2501 0.5110
O: 0.8207 0.7263 0.7020
O: 0.8207 0.7737 0.2020
O: 0.9455 0.7496 0.4019
O: 0.9455 0.7504 0.9019

# 2
# La2C3

La2C3 after structural relaxation (PBE, the Materials Project database).

Calculated values
The energy of formation from the pure elements is -0.166 eV/atom. The calculation puts the electronic total energy at -153.545 eV for the cell shown.

Lattice parameters (Å, degrees): 7.6374 7.6374 7.6374 109.47 109.47 109.47
Atoms (fractional coordinates):
La: 0.0000 0.3956 0.5000
La: 0.0000 0.8956 0.5000
La: 0.1044 0.1044 0.1044
La: 0.3956 0.5000 0.0000
La: 0.5000 0.0000 0.3956
La: 0.5000 0.0000 0.8956
La: 0.6044 0.6044 0.6044
La: 0.8956 0.5000 0.0000
C: 0.0496 0.7500 0.7996
C: 0.2004 0.7500 0.9504
C: 0.2500 0.5496 0.2996
C: 0.2500 0.7004 0.4504
C: 0.2996 0.2500 0.5496
C: 0.4504 0.2500 0.7004
C: 0.5496 0.2996 0.2500
C: 0.7004 0.4504 0.2500
C: 0.7500 0.7996 0.0496
C: 0.7500 0.9504 0.2004
C: 0.7996 0.0496 0.7500
C: 0.9504 0.2004 0.7500